# Na8PtO6

A relaxed structure of Na8PtO6 (PBE, the Materials Project).

Calculated values
The value obtained for the formation energy is -1333 meV/atom. As for the symmetry: P4, No. 75. The calculation puts the energy above the lowest structure with this stoichiometry at 2 meV per atom. The total moment is 0.4 μB per formula unit.

Structure (extended XYZ):
```
15
Lattice="6.940 0.000 0.000 0.000 6.940 0.000 0.000 0.000 4.503" Properties=species:S:1:pos:R:3 pbc="T T T"
Na 0.574 4.950 0.000
Na 1.495 2.361 2.378
Na 1.989 0.574 0.000
Na 2.361 5.445 2.378
Na 4.579 1.495 2.378
Na 4.950 6.366 0.000
Na 5.445 4.579 2.378
Na 6.366 1.989 0.000
Pt 3.470 3.470 0.147
O 0.000 0.000 3.025
O 1.500 2.835 0.143
O 2.835 5.440 0.143
O 3.470 3.470 2.394
O 4.105 1.500 0.143
O 5.440 4.105 0.143
```



# IrN

A relaxed structure of IrN (PBE, the Materials Project).

Calculated values
The value obtained for the formation energy is 584 meV/atom. As for the symmetry: P6_3mc, No. 186. The calculation puts the energy above the lowest structure with this stoichiometry at 226 meV per atom. The total moment is 0.0 μB per formula unit.

Structure (extended XYZ):
```
4
Lattice="2.867 0.000 0.000 -1.433 2.483 0.000 0.000 0.000 6.562" Properties=species:S:1:pos:R:3 pbc="T T T"
Ir 0.000 1.655 0.000
Ir 1.433 0.828 3.281
N 0.000 1.655 2.097
N 1.433 0.828 5.378
```



# SrSn3

A relaxed structure of SrSn3 (PBE, the Materials Project).

Calculated values
The value obtained for the formation energy is -366 meV/atom. As for the symmetry: P6_3/mmc, No. 194.

Structure (extended XYZ):
```
8
Lattice="7.150 0.000 0.000 -3.575 6.192 0.000 0.000 0.000 5.376" Properties=species:S:1:pos:R:3 pbc="T T T"
Sr 0.000 4.128 1.344
Sr 3.575 2.064 4.032
Sn 0.000 1.853 4.032
Sn -1.971 5.266 4.032
Sn 1.604 0.926 1.344
Sn 1.971 5.266 4.032
Sn 5.546 0.926 1.344
Sn 3.575 4.340 1.344
```



# TbAl8Cu4

A relaxed structure of TbAl8Cu4 (PBE, the Materials Project).

Calculated values
The value obtained for the formation energy is -313 meV/atom. As for the symmetry: I4/mmm, No. 139.

Structure (extended XYZ):
```
13
Lattice="-4.423 4.423 2.568 4.423 -4.423 2.568 4.423 4.423 -2.568" Properties=species:S:1:pos:R:3 pbc="T T T"
Tb 0.000 0.000 0.000
Al 3.072 0.000 0.000
Al 5.773 0.000 0.000
Al 4.423 2.484 0.000
Al 0.000 3.072 0.000
Al 2.484 4.423 0.000
Al 1.939 0.000 2.568
Al 0.000 5.773 0.000
Al 0.000 1.939 2.568
Cu 2.211 2.211 -1.284
Cu 2.211 -2.211 1.284
Cu -2.211 2.211 1.284
Cu 2.211 2.211 1.284
```



# Sr2FeH6

A relaxed structure of Sr2FeH6 (PBE, the Materials Project).

Calculated values
The value obtained for the formation energy is -621 meV/atom. As for the symmetry: Fm-3m, No. 225.

Structure (extended XYZ):
```
9
Lattice="0.000 3.726 3.726 3.726 0.000 3.726 3.726 3.726 0.000" Properties=species:S:1:pos:R:3 pbc="T T T"
Sr 1.863 1.863 1.863
Sr 5.589 5.589 5.589
Fe 0.000 0.000 0.000
H 3.726 3.726 1.620
H 3.726 1.620 3.726
H 5.832 3.726 3.726
H 1.620 3.726 3.726
H 3.726 5.832 3.726
H 3.726 3.726 5.832
```



# Ba2ZrC8O19

A relaxed structure of Ba2ZrC8O19 (PBE, the Materials Project).

Calculated values
The value obtained for the formation energy is -1713 meV/atom. As for the symmetry: C2/c, No. 15. The calculation puts the energy above the lowest structure with this stoichiometry at 0 meV per atom. The total moment is 2.1 μB per formula unit.

Structure (extended XYZ):
```
60
Lattice="4.846 -15.089 0.000 4.846 15.089 0.000 -4.478 0.000 7.653" Properties=species:S:1:pos:R:3 pbc="T T T"
Ba 1.487 14.753 5.739
Ba 1.487 6.685 5.739
Ba 3.726 -6.685 1.913
Ba 3.726 -14.753 1.913
Zr 3.726 4.101 1.913
Zr 1.487 -4.101 5.739
C 1.426 5.959 0.970
C 1.298 5.836 2.512
C 1.935 1.937 0.651
C -1.438 2.171 7.239
C -0.304 -1.937 4.477
C 0.801 -2.171 3.412
C -0.813 -5.959 4.796
C -0.940 -5.836 6.339
C 6.154 5.836 1.314
C 6.026 5.959 2.857
C 4.413 2.171 4.240
C 5.517 1.937 3.175
C 6.652 -2.171 0.414
C 3.279 -1.937 7.001
C 3.915 -5.836 5.140
C 3.788 -5.959 6.683
O 0.339 6.353 3.116
O -1.324 5.492 5.724
O 1.025 1.098 0.412
O 2.434 5.288 0.517
O -0.250 8.427 7.303
O -1.214 -1.098 4.238
O -1.471 1.512 6.178
O 2.031 2.628 1.717
O 2.258 5.207 3.099
O 0.768 -1.512 2.352
O -0.579 3.050 7.587
O 3.225 8.427 4.176
O 1.487 3.660 5.739
O 0.915 -5.492 1.898
O -0.208 -2.628 5.544
O 5.194 5.207 0.727
O -1.899 -6.353 6.943
O 0.195 -5.288 4.343
O 1.659 -3.050 3.761
O 3.554 3.050 3.892
O 5.018 5.288 3.309
O 7.113 6.353 0.710
O 0.020 -5.207 6.925
O 5.421 2.628 2.109
O 4.299 5.492 5.754
O 3.726 -3.660 1.913
O 1.989 -8.427 3.476
O 5.793 -3.050 0.065
O 4.445 1.512 5.301
O 2.955 -5.207 4.553
O 3.182 -2.628 5.935
O 6.684 -1.512 1.475
O 6.427 1.098 3.414
O 5.463 -8.427 0.350
O 2.779 -5.288 7.135
O 4.188 -1.098 7.241
O 6.537 -5.492 1.928
O 4.874 -6.353 4.536
```



# NdSmMg2

A relaxed structure of NdSmMg2 (PBE, the Materials Project).

Calculated values
The value obtained for the formation energy is -98 meV/atom. As for the symmetry: Fm-3m, No. 225.

Structure (extended XYZ):
```
4
Lattice="0.000 3.867 3.867 3.867 0.000 3.867 3.867 3.867 0.000" Properties=species:S:1:pos:R:3 pbc="T T T"
Nd 0.000 0.000 0.000
Sm 3.867 3.867 3.867
Mg 1.934 1.934 1.934
Mg 5.801 5.801 5.801
```



# Ba6HfO8

A relaxed structure of Ba6HfO8 (PBE, the Materials Project).

Calculated values
The value obtained for the formation energy is -3093 meV/atom. As for the symmetry: Fm-3m, No. 225. The total moment is 0.0 μB per formula unit.

Structure (extended XYZ):
```
15
Lattice="0.000 5.442 5.442 5.442 0.000 5.442 5.442 5.442 0.000" Properties=species:S:1:pos:R:3 pbc="T T T"
Ba 2.721 2.721 0.000
Ba 2.721 0.000 2.721
Ba 5.442 2.721 2.721
Ba 0.000 2.721 2.721
Ba 2.721 5.442 2.721
Ba 2.721 2.721 5.442
Hf 0.000 0.000 0.000
O 5.442 5.442 2.160
O 5.442 2.160 5.442
O 8.723 5.442 5.442
O 2.721 2.721 2.721
O 8.162 8.162 8.162
O 2.160 5.442 5.442
O 5.442 8.723 5.442
O 5.442 5.442 8.723
```